(1)
Here is a relaxed structure of LiFe8F33 from Materials Project. Energies are from PBE+U.

Calculated values
Energy of formation from the pure elements = -88.1 eV/f.u.
Magnetization = 32.0 μB per formula unit
VASP energy = -4.468 eV per atom

```
data_LiFe8F33
_cell_length_a 8.7931
_cell_length_b 8.7931
_cell_length_c 18.5848
_cell_angle_alpha 90.00
_cell_angle_beta 90.00
_cell_angle_gamma 120.00
_symmetry_space_group_name_H-M 'P 3 1 c'
_symmetry_Int_Tables_number 159
loop_
_symmetry_equiv_pos_as_xyz
'x,y,z'
'-y,x-y,z'
'-x+y,-x,z'
'y,x,z+1/2'
'x-y,-y,z+1/2'
'-x,-x+y,z+1/2'
loop_
_atom_site_label
_atom_site_type_symbol
_atom_site_fract_x
_atom_site_fract_y
_atom_site_fract_z
Li1 Li 0.3333 0.6667 0.0000
Fe1 Fe 0.0000 0.0000 0.4254
Fe2 Fe 0.0068 0.6707 0.1815
Fe3 Fe 0.0081 0.3429 0.8079
Fe4 Fe 0.3333 0.6667 0.5625
F1 F 0.0725 0.8576 0.1288
F2 F 0.0723 0.8792 0.9750
F3 F 0.0731 0.1920 0.3633
F4 F 0.0750 0.5469 0.7419
F5 F 0.1096 0.5195 0.3629
F6 F 0.1237 0.5934 0.1280
F7 F 0.1324 0.2715 0.7417
F8 F 0.1399 0.5454 0.5130
F9 F 0.1932 0.4000 0.2504
F10 F 0.2011 0.4505 0.8613
F11 F 0.2131 0.7413 0.6239
```

(2)
Here is a relaxed structure of LiFeF3 from Materials Project. Energies are from PBE+U.

Calculated values
Energy of formation from the pure elements = -13.6 eV/f.u.
Energy above the most stable polymorph in this dataset = 69.5 meV/atom
Magnetization = 4.0 μB per formula unit
VASP energy = -5.223 eV per atom

```
data_LiFeF3
_cell_length_a 14.5934
_cell_length_b 14.5934
_cell_length_c 7.7638
_cell_angle_alpha 90.00
_cell_angle_beta 90.00
_cell_angle_gamma 120.00
_symmetry_space_group_name_H-M 'R -3'
_symmetry_Int_Tables_number 148
_symmetry_space_group_name_Hall '-R 3'
loop_
_atom_site_label
_atom_site_type_symbol
_atom_site_fract_x
_atom_site_fract_y
_atom_site_fract_z
Li1 Li 0.0166 0.1760 0.3978
Fe1 Fe 0.0467 0.2682 0.7580
F1 F 0.0098 0.4256 0.1709
F2 F 0.0220 0.8728 0.3609
F3 F 0.0673 0.5923 0.4344
```

(3)
Here is a relaxed structure of Li2FeF5 from Materials Project. Energies are from PBE+U.

Calculated values
Energy of formation from the pure elements = -20.4 eV/f.u.
Energy above the most stable polymorph in this dataset = 370.3 meV/atom
Magnetization = 0.6 μB per formula unit
VASP energy = -4.707 eV per atom

```
data_Li2FeF5
_cell_length_a 5.272
_cell_length_b 5.712
_cell_length_c 7.015
_cell_angle_alpha 106.66
_cell_angle_beta 93.29
_cell_angle_gamma 114.37
_symmetry_space_group_name_H-M 'P 1'
_symmetry_Int_Tables_number 1
loop_
_symmetry_equiv_pos_as_xyz
'x,y,z'
loop_
_atom_site_label
_atom_site_type_symbol
_atom_site_fract_x
_atom_site_fract_y
_atom_site_fract_z
Li1 Li 0.000 0.000 0.000
Li2 Li 0.011 0.008 0.500
Li3 Li 0.320 0.677 0.771
Li4 Li 0.701 0.338 0.228
Fe1 Fe 0.388 0.757 0.275
Fe2 Fe 0.634 0.258 0.725
F1 F 0.078 0.398 0.182
F2 F 0.162 0.940 0.235
F3 F 0.311 0.856 0.568
F4 F 0.355 0.357 0.632
F5 F 0.479 0.218 0.961
F6 F 0.543 0.797 0.038
F7 F 0.667 0.658 0.367
F8 F 0.711 0.159 0.431
F9 F 0.859 0.075 0.764
F10 F 0.944 0.617 0.817
```

(4)
Here is a relaxed structure of LiFeF3 from Materials Project. Energies are from PBE+U.

Calculated values
Energy of formation from the pure elements = -13.7 eV/f.u.
Energy above the most stable polymorph in this dataset = 59.0 meV/atom
Magnetization = 4.0 μB per formula unit
VASP energy = -5.234 eV per atom

```
data_LiFeF3
_cell_length_a 7.839
_cell_length_b 3.031
_cell_length_c 9.990
_cell_angle_alpha 90.00
_cell_angle_beta 90.00
_cell_angle_gamma 90.00
_symmetry_space_group_name_H-M 'P n m a'
_symmetry_Int_Tables_number 62
loop_
_symmetry_equiv_pos_as_xyz
'x,y,z'
'-x,-y,-z'
'-x+1/2,-y,z+1/2'
'x+1/2,y,-z+1/2'
'x+1/2,-y+1/2,-z+1/2'
'-x+1/2,y+1/2,z+1/2'
'-x,y+1/2,-z'
'x,-y+1/2,z'
loop_
_atom_site_label
_atom_site_type_symbol
_atom_site_fract_x
_atom_site_fract_y
_atom_site_fract_z
Li1 Li 0.003 0.250 0.186
Fe1 Fe 0.191 0.750 0.486
F1 F 0.026 0.250 0.389
F2 F 0.150 0.250 0.836
F3 F 0.175 0.750 0.088
```

(5)
Here is a relaxed structure of LiFe2F5 from Materials Project. Energies are from PBE+U.

Calculated values
Energy of formation from the pure elements = -21.5 eV/f.u.
Energy above the most stable polymorph in this dataset = 0.0 meV/atom
Magnetization = 8.0 μB per formula unit
VASP energy = -5.393 eV per atom

```
data_LiFe2F5
_cell_length_a 5.333
_cell_length_b 5.963
_cell_length_c 7.578
_cell_angle_alpha 109.99
_cell_angle_beta 90.16
_cell_angle_gamma 116.05
_symmetry_space_group_name_H-M 'P 1'
_symmetry_Int_Tables_number 1
loop_
_symmetry_equiv_pos_as_xyz
'x,y,z'
loop_
_atom_site_label
_atom_site_type_symbol
_atom_site_fract_x
_atom_site_fract_y
_atom_site_fract_z
Li1 Li 0.000 0.000 0.000
Li2 Li 0.150 0.014 0.507
Fe1 Fe 0.376 0.627 0.167
Fe2 Fe 0.378 0.629 0.669
Fe3 Fe 0.743 0.365 0.421
Fe4 Fe 0.750 0.363 0.922
F1 F 0.023 0.258 0.516
F2 F 0.092 0.738 0.582
F3 F 0.182 0.609 0.911
F4 F 0.361 0.256 0.014
F5 F 0.386 0.991 0.308
F6 F 0.546 0.602 0.410
F7 F 0.553 0.365 0.676
F8 F 0.733 0.988 0.810
F9 F 0.771 0.735 0.081
F10 F 0.941 0.368 0.177
```

(6)
Here is a relaxed structure of LiFe2F5 from Materials Project. Energies are from PBE+U.

Calculated values
Energy of formation from the pure elements = -21.3 eV/f.u.
Energy above the most stable polymorph in this dataset = 36.0 meV/atom
Magnetization = 8.0 μB per formula unit
VASP energy = -5.357 eV per atom

```
data_LiFe2F5
_cell_length_a 8.366
_cell_length_b 6.475
_cell_length_c 8.392
_cell_angle_alpha 90.00
_cell_angle_beta 90.04
_cell_angle_gamma 90.00
_symmetry_space_group_name_H-M 'P 1 21/m 1'
_symmetry_Int_Tables_number 11
loop_
_symmetry_equiv_pos_as_xyz
'x,y,z'
'-x,-y,-z'
'-x,y+1/2,-z'
'x,-y+1/2,z'
loop_
_atom_site_label
_atom_site_type_symbol
_atom_site_fract_x
_atom_site_fract_y
_atom_site_fract_z
Li1 Li 0.179 0.250 0.171
Li2 Li 0.321 0.750 0.671
Fe1 Fe 0.000 0.000 0.500
Fe2 Fe 0.150 0.750 0.120
Fe3 Fe 0.350 0.250 0.620
Fe4 Fe 0.500 0.000 0.000
F1 F 0.002 0.750 0.951
F2 F 0.090 0.750 0.355
F3 F 0.102 0.250 0.381
F4 F 0.208 0.503 0.631
F5 F 0.292 0.003 0.131
F6 F 0.398 0.750 0.881
F7 F 0.410 0.250 0.855
F8 F 0.498 0.250 0.451
```

- Among the records above, which one has the highest VASP energy?
  LiFe8F33

- Which value of magnetization does entry 3 give?
  0.6 μB per formula unit

- Which of these has the highest VASP energy?
  LiFe8F33

- Look up the magnetization of the third one.
  0.6 μB per formula unit